1.
A plane-wave DFT calculation with PBE was carried out for an optimized crystal structure of SmY3.

Structure (POSCAR):
```
SmY3
1.0
-0.264 4.687 -1.970
-4.341 0.819 2.531
2.647 1.811 3.954
Sm Y
1 3
Cartesian
0.000 0.000 0.000
-0.847 1.315 3.242
1.191 3.249 0.992
-2.303 2.753 0.281
```

=====

2.
PBE Mg6ZnBi, relaxed; size of the total moment = 0.000 μB per atom
1.0
-0.125 3.045 4.384
-6.017 -1.415 0.812
2.872 -8.701 6.125
Mg Zn Bi
12 2 2
Cartesian
-1.237 -1.050 0.694
-4.316 -1.774 1.109
0.954 -2.888 2.033
-3.367 -3.122 5.323
-0.406 -2.425 4.924
0.418 0.066 3.217
-2.809 -6.107 4.162
0.129 -5.416 3.766
-0.619 -7.946 5.501
1.078 -6.764 7.980
-1.978 -7.483 8.392
-1.154 -4.991 6.685
-2.004 -3.751 2.548
2.441 -7.394 5.205
-2.599 -0.614 3.603
1.845 -4.256 6.260

=====

3.
A plane-wave DFT calculation with PBE was carried out for an optimized crystal structure of Zr2PbC.

Structure (POSCAR):
```
Zr2PbC
1.0
-1.638 1.922 2.289
3.404 -0.170 0.042
0.702 11.733 -9.346
Zr Pb C
4 2 2
Cartesian
2.132 7.360 -4.652
0.336 6.124 -2.363
0.100 2.191 0.770
2.367 11.294 -7.785
1.899 3.460 -1.546
0.569 10.024 -5.470
0.351 5.867 -4.673
0.000 0.000 0.000
```

=====

4.
A plane-wave DFT calculation with PBE was carried out for an optimized crystal structure of KAlH4.

Structure (POSCAR):
```
KAlH4
1.0
-2.700 2.700 6.304
2.700 -2.700 6.304
2.700 2.700 -6.304
K Al H
2 2 8
Cartesian
0.000 2.700 3.152
0.000 0.000 0.000
2.700 0.000 3.152
0.000 0.000 6.304
2.182 1.245 4.072
3.219 -1.245 4.072
1.245 0.519 7.224
1.456 2.182 0.920
3.219 1.456 -0.920
-0.519 1.245 5.384
1.456 -0.519 2.232
3.945 0.519 2.232
```

=====

5.
PBE Ho4CoB13, relaxed; size of the total moment = 0.000 μB per atom
1.0
7.285 0.000 0.000
0.000 7.285 0.000
0.000 0.000 6.872
Ho Co B
8 2 26
Cartesian
4.988 1.324 3.436
2.296 5.961 3.436
1.346 2.319 0.000
5.939 4.966 0.000
5.961 4.988 3.436
1.324 2.296 3.436
4.966 1.346 0.000
2.319 5.939 0.000
3.642 3.642 3.436
0.000 0.000 0.000
3.642 3.642 0.000
0.000 0.000 3.436
6.623 2.981 1.718
0.661 4.304 1.718
2.981 0.661 5.154
4.304 6.623 5.154
4.304 6.623 1.718
2.981 0.661 1.718
6.623 2.981 5.154
0.661 4.304 5.154
3.927 4.881 1.688
3.358 2.404 1.688
0.285 6.046 5.124
7.000 1.239 5.124
2.404 3.927 1.688
4.881 3.358 1.688
1.239 0.285 5.124
6.046 7.000 5.124
3.358 2.404 5.183
3.927 4.881 5.183
7.000 1.239 1.748
0.285 6.046 1.748
4.881 3.358 5.183
2.404 3.927 5.183
6.046 7.000 1.748
1.239 0.285 1.748

=====

6.
PBE Re2SCl4O8, relaxed; size of the total moment = 0.000 μB per atom
1.0
7.977 7.742 0.000
-7.977 7.742 0.000
0.000 1.441 9.635
Re S Cl O
8 4 16 32
Cartesian
-2.639 6.323 0.342
-2.639 9.880 4.475
2.639 10.601 9.292
2.639 7.044 5.160
1.453 2.840 0.341
1.453 13.364 4.476
-1.453 14.084 9.293
-1.453 3.560 5.159
-3.138 9.784 0.987
-3.138 6.419 3.831
3.138 7.140 8.648
3.138 10.505 5.804
-4.824 8.188 9.460
-4.824 9.456 4.992
4.824 8.736 0.175
4.824 7.468 4.642
-0.625 6.532 1.399
-0.625 9.671 3.418
0.625 10.392 8.236
0.625 7.253 6.217
1.492 3.282 7.921
1.492 14.362 6.532
-1.492 13.642 1.714
-1.492 2.562 3.103
2.118 4.157 2.092
2.118 12.047 2.726
-2.118 12.767 7.543
-2.118 4.877 6.909
-2.032 7.836 8.383
-2.032 9.808 6.070
2.032 9.088 1.252
2.032 7.116 3.565
-2.823 4.640 0.574
-2.823 11.563 4.243
2.823 12.284 9.060
2.823 5.361 5.392
-0.127 3.478 0.206
-0.127 12.725 4.612
0.127 13.446 9.429
0.127 4.199 5.023
1.175 1.428 1.263
1.175 14.775 3.554
-1.175 15.495 8.371
-1.175 2.149 6.081
-2.501 8.568 0.415
-2.501 7.635 4.403
2.501 8.356 9.220
2.501 9.289 5.232
-4.372 10.082 0.213
-4.372 6.121 4.604
4.372 6.842 9.422
4.372 10.803 5.030
-3.481 6.639 2.401
-3.481 9.565 2.416
3.481 10.285 7.233
3.481 7.359 7.219
2.185 6.008 8.763
2.185 11.636 5.689
-2.185 10.916 0.872
-2.185 5.288 3.945

=====

7.
A plane-wave DFT calculation with PBE was carried out for an optimized crystal structure of LiMg2.

Structure (POSCAR):
```
LiMg2
1.0
1.987 0.508 5.378
-0.585 4.342 3.733
-2.761 -3.439 -3.698
Li Mg
1 2
Cartesian
0.000 0.000 0.000
0.478 1.654 3.106
0.924 3.197 6.005
```

=====

8.
PBE ZrPbO3, relaxed; size of the total moment = 0.000 μB per atom
1.0
-1.403 4.058 0.107
-7.003 -2.396 -4.065
-3.775 -1.499 7.386
Zr Pb O
4 4 12
Cartesian
-3.377 0.918 0.898
-5.239 0.178 4.541
-6.842 -0.351 -1.195
-8.754 -1.110 2.547
-1.745 3.742 -0.132
-6.701 1.539 1.697
-4.970 2.356 -2.062
-9.992 0.442 -0.207
-3.936 3.126 0.809
-5.995 2.308 4.838
-8.724 -0.706 -2.005
-2.302 1.534 -0.865
-4.431 0.832 2.714
-5.181 0.572 -0.101
-5.792 0.262 -2.907
-7.048 -0.169 3.552
-7.791 -0.395 0.748
-10.460 -1.395 1.393
-7.525 1.827 -1.070
-9.413 1.078 2.623

=====

Computed E_tot, in the same sequence as the records: -24.027 -29.764 -65.345 -39.130 -242.179 -372.433 -5.263 -156.968 eV for the cell shown.